Below is crystalline Sn at its relaxed geometry, with properties calculated at the PBE level.

Structure (CIF):
```
data_Sn
_space_group_name_H-M_alt 'P 1'
_space_group_IT_number 1
_cell_length_a 4.700
_cell_length_b 4.700
_cell_length_c 4.700
_cell_angle_alpha 60.00
_cell_angle_beta 60.00
_cell_angle_gamma 60.00
loop_
_space_group_symop_operation_xyz
'x,y,z'
loop_
_atom_site_label
_atom_site_fract_x
_atom_site_fract_y
_atom_site_fract_z
_atom_site_occupancy
Sn1 0.750 0.750 0.750 1
Sn2 0.500 0.500 0.500 1
```

Computed properties:
symmetry: Fd-3m (227)
total energy: -0.1473 hartree per atom
energy of formation from the pure elements: 0.000 eV/f.u.
polymorph energy (0 for the lowest one): 0.000 eV per atom

---

Below is crystalline Ca2NdRuO6 at its relaxed geometry, with properties calculated at the PBE level.

Structure (CIF):
```
data_Ca2NdRuO6
_space_group_name_H-M_alt 'P 1'
_space_group_IT_number 1
_cell_length_a 5.611
_cell_length_b 5.901
_cell_length_c 8.114
_cell_angle_alpha 90.00
_cell_angle_beta 90.06
_cell_angle_gamma 90.00
loop_
_space_group_symop_operation_xyz
'x,y,z'
loop_
_atom_site_label
_atom_site_fract_x
_atom_site_fract_y
_atom_site_fract_z
_atom_site_occupancy
O1 0.670 0.284 0.069 1
Ru1 0.000 0.499 0.501 1
O2 0.288 0.679 0.552 1
O3 0.326 0.720 0.932 1
O4 0.387 0.948 0.229 1
Nd1 0.516 0.560 0.254 1
O5 0.116 0.449 0.270 1
O6 0.616 0.051 0.770 1
O7 0.788 0.821 0.052 1
Ru2 0.500 0.001 0.001 1
O8 0.710 0.323 0.447 1
Ca1 0.000 0.496 0.000 1
O9 0.170 0.216 0.569 1
Nd2 0.016 0.940 0.754 1
Ca2 0.985 0.059 0.245 1
Ca3 0.500 0.004 0.500 1
O10 0.210 0.177 0.947 1
O11 0.826 0.780 0.432 1
O12 0.887 0.552 0.729 1
Ca4 0.485 0.441 0.745 1
```

Computed properties:
symmetry: Pc (7)
total energy: -0.2643 hartree per atom
energy of formation from the pure elements: -28.291 eV/f.u.

---

Below is crystalline Ti3Si3Mo2 at its relaxed geometry, with properties calculated at the PBE level.

Structure (CIF):
```
data_Ti3Si3Mo2
_space_group_name_H-M_alt 'P 1'
_space_group_IT_number 1
_cell_length_a 5.053
_cell_length_b 7.442
_cell_length_c 7.355
_cell_angle_alpha 120.39
_cell_angle_beta 90.00
_cell_angle_gamma 90.00
loop_
_space_group_symop_operation_xyz
'x,y,z'
loop_
_atom_site_label
_atom_site_fract_x
_atom_site_fract_y
_atom_site_fract_z
_atom_site_occupancy
Ti1 0.250 0.000 0.767 1
Si1 0.250 0.397 0.000 1
Ti2 0.500 0.335 0.666 1
Si2 0.250 0.603 0.604 1
Mo1 0.250 0.747 0.000 1
Mo2 0.750 0.268 0.000 1
Si3 0.250 0.999 0.396 1
Si4 0.750 0.389 0.387 1
Ti3 0.250 0.233 0.233 1
Ti4 0.500 0.668 0.334 1
Ti5 0.000 0.335 0.666 1
Mo3 0.750 0.741 0.738 1
Si5 0.750 0.614 0.000 1
Ti6 0.000 0.668 0.334 1
Si6 0.750 0.001 0.613 1
Mo4 0.750 0.002 0.262 1
```

Computed properties:
symmetry: Amm2 (38)
total energy: -0.3056 hartree per atom
energy of formation from the pure elements: -4.876 eV/f.u.